Entry 1:
The following is a DFT calculation (PBE+U) of an optimized crystal structure of BaMn2Ru4O11.

Summary:
Mass density, g/cm3: 6.4
Electronic total energy, eV/atom: -7.3540
Formation energy, eV per atom: -1.7498
Crystal system: monoclinic

Cell: 6.066 10.434 13.587 Å, 90.00 90.05 90.00°
Space group C2/c (No. 15)
Unique sites:
Ba  0.000  0.168  0.250 (multiplicity 4)
Mn  0.000  0.166  0.750 (multiplicity 4)
Mn  0.250  0.250  0.500 (multiplicity 4)
Ru  0.000  0.000  0.000 (multiplicity 4)
Ru  0.006  0.499  0.149 (multiplicity 8)
Ru  0.250  0.250  0.000 (multiplicity 4)
O  0.000  0.355  0.750 (multiplicity 4)
O  0.009  0.330  0.080 (multiplicity 8)
O  0.013  0.163  0.914 (multiplicity 8)
O  0.214  0.428  0.253 (multiplicity 8)
O  0.240  0.082  0.420 (multiplicity 8)
O  0.250  0.084  0.079 (multiplicity 8)

Entry 2:
The following is a DFT calculation (PBE+U) of an optimized crystal structure of Li9Mn2Co5O16.

Summary:
Energy above the lowest structure with this stoichiometry, meV per atom: 4
Mass density, g/cm3: 4.2
Electronic total energy, eV/atom: -5.8507
Formation energy, eV per atom: -1.8602
Crystal system: monoclinic

Cell: 19.649 5.877 5.004 Å, 90.00 100.73 90.00°
Space group C2/m (No. 12)
Unique sites:
Li  0.000  0.000  0.000 (multiplicity 2)
Li  0.123  0.000  0.760 (multiplicity 4)
Li  0.124  0.247  0.238 (multiplicity 8)
Li  0.124  0.500  0.759 (multiplicity 4)
Mn  0.000  0.246  0.500 (multiplicity 4)
Co  0.000  0.500  0.000 (multiplicity 2)
Co  0.250  0.000  0.500 (multiplicity 4)
Co  0.250  0.250  0.000 (multiplicity 4)
O  0.054  0.500  0.369 (multiplicity 4)
O  0.055  0.265  0.860 (multiplicity 8)
O  0.056  0.000  0.400 (multiplicity 4)
O  0.191  0.000  0.134 (multiplicity 4)
O  0.192  0.247  0.635 (multiplicity 8)
O  0.192  0.500  0.135 (multiplicity 4)

Entry 3:
The following is a DFT calculation (PBE+U) of an optimized crystal structure of Mg2SbWO6.

Summary:
Energy above the lowest structure with this stoichiometry, meV per atom: 8
Mass density, g/cm3: 4.8
Electronic total energy, eV/atom: -6.4189
Formation energy, eV per atom: -2.2773
Crystal system: triclinic

Cell: 5.543 5.671 5.818 Å, 118.83 92.80 99.13°
Space group P1 (No. 1)
Unique sites:
Mg  0.000  0.000  0.000 (multiplicity 1)
Mg  0.424  0.575  0.072 (multiplicity 1)
Sb  0.842  0.279  0.560 (multiplicity 1)
W  0.455  0.859  0.780 (multiplicity 1)
O  0.174  0.692  0.903 (multiplicity 1)
O  0.324  0.190  0.972 (multiplicity 1)
O  0.338  0.716  0.434 (multiplicity 1)
O  0.591  0.499  0.711 (multiplicity 1)
O  0.681  0.957  0.162 (multiplicity 1)
O  0.786  0.077  0.763 (multiplicity 1)

Entry 4:
The following is a DFT calculation (PBE+U) of an optimized crystal structure of Li9Co7O16.

Summary:
Energy above the lowest structure with this stoichiometry, meV per atom: 74
Mass density, g/cm3: 4.3
Electronic total energy, eV/atom: -5.5449
Formation energy, eV per atom: -1.6809
Crystal system: triclinic

Cell: 5.873 6.622 7.650 Å, 90.23 100.54 103.17°
Space group P-1 (No. 2)
Unique sites:
Li  0.000  0.000  0.000 (multiplicity 1)
Li  0.000  0.500  0.500 (multiplicity 1)
Li  0.126  0.132  0.377 (multiplicity 2)
Li  0.245  0.257  0.740 (multiplicity 2)
Li  0.376  0.375  0.123 (multiplicity 2)
Li  0.500  0.500  0.500 (multiplicity 1)
Co  0.120  0.623  0.873 (multiplicity 2)
Co  0.248  0.744  0.257 (multiplicity 2)
Co  0.369  0.870  0.624 (multiplicity 2)
Co  0.500  0.000  0.000 (multiplicity 1)
O  0.053  0.335  0.940 (multiplicity 2)
O  0.086  0.815  0.434 (multiplicity 2)
O  0.164  0.439  0.293 (multiplicity 2)
O  0.184  0.913  0.819 (multiplicity 2)
O  0.299  0.576  0.706 (multiplicity 2)
O  0.336  0.057  0.187 (multiplicity 2)
O  0.407  0.692  0.056 (multiplicity 2)
O  0.445  0.186  0.566 (multiplicity 2)